Density functional theory data (r²SCAN) for a relaxed structure of Yb2TlIn.

Calculated values
The value obtained for the total magnetic moment is 0.00 μB/f.u.

abc: 5.2310 5.2310 5.2310
angles: 60.00 60.00 60.00
Last column: nearest neighbours and their distance in Å.
Atoms (fractional coordinates):
Yb: 0.2500 0.2500 0.2500  4 Tl 3.20, 4 In 3.20
Yb: 0.7500 0.7500 0.7500  4 Tl 3.20, 4 In 3.20
Tl: 0.0000 0.0000 0.0000  8 Yb 3.20
In: 0.5000 0.5000 0.5000  8 Yb 3.20



Density functional theory data (r²SCAN) for a relaxed structure of Tm3In.

Calculated values
The value obtained for the total magnetic moment is 1.22 μB/f.u.

abc: 6.7330 6.7330 5.5351
angles: 90.00 90.00 120.00
Last column: nearest neighbours and their distance in Å.
Atoms (fractional coordinates):
Tm: 0.1702 0.3405 0.2500  8 Tm 3.29-3.44, 4 In 3.36-3.37
Tm: 0.1702 0.8298 0.2500  8 Tm 3.29-3.44, 4 In 3.36-3.37
Tm: 0.3405 0.1702 0.7500  8 Tm 3.29-3.44, 4 In 3.36-3.37
Tm: 0.6595 0.8298 0.2500  8 Tm 3.29-3.44, 4 In 3.36-3.37
Tm: 0.8298 0.1702 0.7500  8 Tm 3.29-3.44, 4 In 3.36-3.37
Tm: 0.8298 0.6595 0.7500  8 Tm 3.29-3.44, 4 In 3.36-3.37
In: 0.3333 0.6667 0.7500  12 Tm 3.36-3.37
In: 0.6667 0.3333 0.2500  12 Tm 3.36-3.37



Density functional theory data (r²SCAN) for a relaxed structure of Tm3In.

Calculated values
The value obtained for the total magnetic moment is 1.31 μB/f.u.

abc: 4.7579 4.7579 4.7579
angles: 90.00 90.00 90.00
Last column: nearest neighbours and their distance in Å.
Atoms (fractional coordinates):
Tm: 0.0000 0.0000 0.5000  4 In 3.36, 8 Tm 3.36
Tm: 0.0000 0.5000 0.0000  4 In 3.36, 8 Tm 3.36
Tm: 0.5000 0.0000 0.0000  4 In 3.36, 8 Tm 3.36
In: 0.5000 0.5000 0.5000  12 Tm 3.36



Density functional theory data (r²SCAN) for a relaxed structure of Tm5In4.

Calculated values
The value obtained for the total magnetic moment is 0.00 μB/f.u.

abc: 9.1243 9.1243 6.5507
angles: 90.00 90.00 120.00
Last column: nearest neighbours and their distance in Å.
Atoms (fractional coordinates):
Tm: 0.0000 0.2890 0.2500  7 In 3.09-3.36
Tm: 0.0000 0.7110 0.7500  7 In 3.09-3.36
Tm: 0.2890 0.0000 0.2500  7 In 3.09-3.36
Tm: 0.2890 0.2890 0.7500  7 In 3.09-3.36
Tm: 0.3333 0.6667 0.0000  8 Tm 3.28-3.65, 6 In 3.31
Tm: 0.3333 0.6667 0.5000  8 Tm 3.28-3.65, 6 In 3.31
Tm: 0.6667 0.3333 0.0000  8 Tm 3.28-3.65, 6 In 3.31
Tm: 0.6667 0.3333 0.5000  8 Tm 3.28-3.65, 6 In 3.31
Tm: 0.7110 0.0000 0.7500  7 In 3.09-3.36
Tm: 0.7110 0.7110 0.2500  7 In 3.09-3.36
In: 0.0000 0.0000 0.0000  6 Tm 3.10, 2 In 3.28
In: 0.0000 0.0000 0.5000  6 Tm 3.10, 2 In 3.28
In: 0.0000 0.3727 0.7500  9 Tm 3.09-3.36
In: 0.0000 0.6273 0.2500  9 Tm 3.09-3.36
In: 0.3727 0.0000 0.7500  9 Tm 3.09-3.36
In: 0.3727 0.3727 0.2500  9 Tm 3.09-3.36
In: 0.6273 0.0000 0.2500  9 Tm 3.09-3.36
In: 0.6273 0.6273 0.7500  9 Tm 3.09-3.36



Density functional theory data (r²SCAN) for a relaxed structure of UIn3.

Calculated values
The value obtained for the total magnetic moment is 2.77 μB/f.u.

abc: 4.6452 4.6452 4.6452
angles: 90.00 90.00 90.00
Last column: nearest neighbours and their distance in Å.
Atoms (fractional coordinates):
U: 0.0000 0.0000 0.0000  12 In 3.28
In: 0.0000 0.5000 0.5000  8 In 3.28, 4 U 3.28
In: 0.5000 0.0000 0.5000  8 In 3.28, 4 U 3.28
In: 0.5000 0.5000 0.0000  8 In 3.28, 4 U 3.28



Density functional theory data (r²SCAN) for a relaxed structure of YIn.

Calculated values
The value obtained for the total magnetic moment is 0.00 μB/f.u.

abc: 3.7594 3.7594 3.7594
angles: 90.00 90.00 90.00
Last column: nearest neighbours and their distance in Å.
Atoms (fractional coordinates):
Y: 0.0000 0.0000 0.0000  8 In 3.26
In: 0.5000 0.5000 0.5000  8 Y 3.26



Density functional theory data (r²SCAN) for a relaxed structure of YIn.

Calculated values
The value obtained for the total magnetic moment is 0.00 μB/f.u.

abc: 3.5424 3.5424 4.1950
angles: 90.00 90.00 90.00
Last column: nearest neighbours and their distance in Å.
Atoms (fractional coordinates):
Y: 0.0000 0.0000 0.0000  8 In 3.27, 4 Y 3.54
In: 0.5000 0.5000 0.5000  8 Y 3.27, 4 In 3.54



Density functional theory data (r²SCAN) for a relaxed structure of Y3In.

Calculated values
The value obtained for the total magnetic moment is 1.77 μB/f.u.

abc: 6.9065 6.9065 5.6579
angles: 90.00 90.00 120.00
Last column: nearest neighbours and their distance in Å.
Atoms (fractional coordinates):
Y: 0.1713 0.3426 0.2500  8 Y 3.36-3.55, 4 In 3.43-3.45
Y: 0.1713 0.8287 0.2500  8 Y 3.36-3.55, 4 In 3.43-3.45
Y: 0.3426 0.1713 0.7500  8 Y 3.36-3.55, 4 In 3.43-3.45
Y: 0.6574 0.8287 0.2500  8 Y 3.36-3.55, 4 In 3.43-3.45
Y: 0.8287 0.1713 0.7500  8 Y 3.36-3.55, 4 In 3.43-3.45
Y: 0.8287 0.6574 0.7500  8 Y 3.36-3.55, 4 In 3.43-3.45
In: 0.3333 0.6667 0.7500  12 Y 3.43-3.45
In: 0.6667 0.3333 0.2500  12 Y 3.43-3.45



Density functional theory data (r²SCAN) for a relaxed structure of Y3In5.

Calculated values
The value obtained for the total magnetic moment is 0.00 μB/f.u.

abc: 6.3741 6.3741 10.3706
angles: 90.00 90.00 78.50
Last column: nearest neighbours and their distance in Å.
Atoms (fractional coordinates):
Y: 0.1253 0.8747 0.7500  9 In 3.10-3.43
Y: 0.2969 0.2969 0.0000  10 In 3.19-3.51
Y: 0.2969 0.2969 0.5000  10 In 3.19-3.51
Y: 0.7031 0.7031 0.0000  10 In 3.19-3.51
Y: 0.7031 0.7031 0.5000  10 In 3.19-3.51
Y: 0.8747 0.1253 0.2500  9 In 3.10-3.43
In: 0.0081 0.4231 0.7500  4 In 3.00-3.31, 3 Y 3.11-3.19
In: 0.1906 0.8094 0.0462  4 In 3.00-3.22, 6 Y 3.12-3.34
In: 0.1906 0.8094 0.4538  4 In 3.00-3.22, 6 Y 3.12-3.34
In: 0.4231 0.0081 0.2500  4 In 3.00-3.31, 3 Y 3.11-3.19
In: 0.4907 0.5093 0.2500  5 Y 3.10-3.28, 6 In 3.12-3.31
In: 0.5093 0.4907 0.7500  5 Y 3.10-3.28, 6 In 3.12-3.31
In: 0.5769 0.9919 0.7500  4 In 3.00-3.31, 3 Y 3.11-3.19
In: 0.8094 0.1906 0.5462  4 In 3.00-3.22, 6 Y 3.12-3.34
In: 0.8094 0.1906 0.9538  4 In 3.00-3.22, 6 Y 3.12-3.34
In: 0.9919 0.5769 0.2500  4 In 3.00-3.31, 3 Y 3.11-3.19



Density functional theory data (r²SCAN) for a relaxed structure of YbZnIn.

Calculated values
The value obtained for the total magnetic moment is 0.04 μB/f.u.

abc: 4.5863 4.5863 7.0670
angles: 90.00 90.00 120.00
Last column: nearest neighbours and their distance in Å.
Atoms (fractional coordinates):
Yb: 0.0000 0.0000 0.0000  6 In 3.18, 6 Zn 3.18, 2 Yb 3.53
Yb: 0.0000 0.0000 0.5000  6 In 3.18, 6 Zn 3.18, 2 Yb 3.53
Zn: 0.3333 0.6667 0.2500  3 In 2.65
Zn: 0.6667 0.3333 0.7500  3 In 2.65
In: 0.3333 0.6667 0.7500  3 Zn 2.65
In: 0.6667 0.3333 0.2500  3 Zn 2.65



Density functional theory data (r²SCAN) for a relaxed structure of YbZnIn.

Calculated values
The value obtained for the total magnetic moment is 0.12 μB/f.u.

abc: 4.5879 4.5879 3.5357
angles: 90.00 90.00 120.00
Last column: nearest neighbours and their distance in Å.
Atoms (fractional coordinates):
Yb: 0.0000 0.0000 0.0000  6 In 3.18, 6 Zn 3.18, 2 Yb 3.54
Zn: 0.6667 0.3333 0.5000  3 In 2.65
In: 0.3333 0.6667 0.5000  3 Zn 2.65



Density functional theory data (r²SCAN) for a relaxed structure of Zr3In.

Calculated values
The value obtained for the total magnetic moment is 0.00 μB/f.u.

abc: 4.4669 4.4669 4.4669
angles: 90.00 90.00 90.00
Last column: nearest neighbours and their distance in Å.
Atoms (fractional coordinates):
Zr: 0.0000 0.0000 0.5000  8 Zr 3.16, 4 In 3.16
Zr: 0.0000 0.5000 0.0000  8 Zr 3.16, 4 In 3.16
Zr: 0.5000 0.0000 0.0000  8 Zr 3.16, 4 In 3.16
In: 0.5000 0.5000 0.5000  12 Zr 3.16



Summary of DFT formation energy in eV per atom
-0.447; -0.336; -0.329; -0.538; -0.303; -0.604; -0.601; -0.348; -0.615; -0.491; -0.477; -0.304
(order as listed above)